1.
Compound: Cs3LaMo3O12
Source: the Materials Project database
Functional: PBE+U
Structure: relaxed

```
Cs3LaMo3O12
1.0
-4.669 2.730 3.725
-6.553 -2.140 -6.646
-4.299 -23.429 11.783
Cs La Mo O
12 4 12 48
Direct
0.250 0.525 0.092
0.750 0.475 0.908
0.750 0.975 0.592
0.250 0.025 0.408
0.250 0.603 0.680
0.750 0.397 0.320
0.750 0.897 0.180
0.250 0.103 0.820
0.250 0.688 0.259
0.750 0.312 0.741
0.750 0.812 0.759
0.250 0.188 0.241
0.250 0.817 0.959
0.750 0.183 0.041
0.750 0.683 0.459
0.250 0.317 0.541
0.250 0.615 0.825
0.750 0.385 0.175
0.750 0.885 0.325
0.250 0.115 0.675
0.250 0.755 0.525
0.750 0.245 0.475
0.750 0.745 0.025
0.250 0.255 0.975
0.250 0.980 0.100
0.750 0.020 0.900
0.750 0.520 0.600
0.250 0.480 0.400
0.250 0.778 0.792
0.750 0.222 0.208
0.750 0.722 0.292
0.250 0.278 0.708
0.250 0.841 0.055
0.750 0.159 0.945
0.750 0.659 0.555
0.250 0.341 0.445
0.250 0.646 0.893
0.750 0.354 0.107
0.750 0.854 0.393
0.250 0.146 0.607
0.250 0.801 0.589
0.750 0.199 0.411
0.750 0.699 0.089
0.250 0.301 0.911
0.529 0.676 0.993
0.471 0.324 0.007
0.471 0.824 0.493
0.029 0.324 0.007
0.529 0.176 0.507
0.971 0.676 0.993
0.971 0.176 0.507
0.029 0.824 0.493
0.250 0.567 0.518
0.750 0.433 0.482
0.750 0.933 0.018
0.250 0.067 0.982
0.523 0.915 0.905
0.477 0.085 0.095
0.477 0.585 0.405
0.023 0.085 0.095
0.523 0.415 0.595
0.977 0.915 0.905
0.977 0.415 0.595
0.023 0.585 0.405
0.025 0.522 0.807
0.975 0.478 0.193
0.975 0.978 0.307
0.525 0.478 0.193
0.025 0.022 0.693
0.475 0.522 0.807
0.475 0.022 0.693
0.525 0.978 0.307
0.250 0.904 0.162
0.750 0.096 0.838
0.750 0.596 0.662
0.250 0.404 0.338
```

total magnetic moment	0.00	μB/atom
theoretical density	4.04	g/cm3
raw total energy	-127.95	eV per formula unit
SG	Pnma, No. 62

---

2.
Compound: Cs2LiMnO4
Source: the Materials Project database
Functional: PBE+U
Structure: relaxed

```
Cs2LiMnO4
1.0
6.080 0.000 0.000
0.000 12.392 0.000
0.000 0.000 8.310
Cs Li Mn O
8 4 4 16
Direct
0.500 0.106 0.545
0.000 0.606 0.545
0.000 0.394 0.045
0.500 0.894 0.045
0.500 0.426 0.411
0.000 0.926 0.411
0.000 0.074 0.911
0.500 0.574 0.911
0.500 0.292 0.827
0.000 0.792 0.827
0.000 0.208 0.327
0.500 0.708 0.327
0.500 0.801 0.608
0.000 0.699 0.108
0.000 0.301 0.608
0.500 0.199 0.108
0.500 0.139 0.919
0.000 0.639 0.919
0.000 0.361 0.419
0.500 0.861 0.419
0.000 0.165 0.561
0.500 0.665 0.561
0.500 0.335 0.061
0.000 0.835 0.061
0.266 0.164 0.211
0.766 0.664 0.211
0.234 0.336 0.711
0.734 0.836 0.711
0.734 0.164 0.211
0.234 0.664 0.211
0.766 0.336 0.711
0.266 0.836 0.711
```

total magnetic moment	0.00	μB/atom
theoretical density	4.15	g/cm3
raw total energy	-43.32	eV per formula unit
piezoelectric modulus e_max	0.0	C/m²

---

3.
Compound: CsLi5MnP4O14
Source: the Materials Project database
Functional: PBE+U
Structure: relaxed

```
CsLi5MnP4O14
1.0
4.940 -0.989 -1.170
-2.972 -12.169 -2.267
-3.643 4.458 -19.147
Cs Li Mn P O
4 20 4 16 56
Direct
0.000 0.750 0.193
0.500 0.250 0.307
0.000 0.250 0.807
0.500 0.750 0.693
0.034 0.501 0.300
0.466 0.001 0.200
0.534 0.499 0.200
0.966 0.999 0.300
0.966 0.499 0.700
0.534 0.999 0.800
0.466 0.501 0.800
0.034 0.001 0.700
0.023 0.601 0.409
0.477 0.101 0.091
0.523 0.399 0.091
0.977 0.899 0.409
0.977 0.399 0.591
0.523 0.899 0.909
0.477 0.601 0.909
0.023 0.101 0.591
0.000 0.000 0.000
0.500 0.500 0.500
0.500 0.000 0.500
0.000 0.500 0.000
0.000 0.750 0.974
0.500 0.250 0.526
0.000 0.250 0.026
0.500 0.750 0.474
0.517 0.865 0.055
0.983 0.365 0.445
0.017 0.135 0.445
0.483 0.635 0.055
0.483 0.135 0.945
0.017 0.635 0.555
0.983 0.865 0.555
0.517 0.365 0.945
0.519 0.635 0.325
0.981 0.135 0.175
0.019 0.365 0.175
0.481 0.865 0.325
0.481 0.365 0.675
0.019 0.865 0.825
0.981 0.635 0.825
0.519 0.135 0.675
0.341 0.858 0.993
0.159 0.358 0.507
0.841 0.142 0.507
0.659 0.642 0.993
0.659 0.142 0.007
0.841 0.642 0.493
0.159 0.858 0.493
0.341 0.358 0.007
0.804 0.877 0.035
0.696 0.377 0.465
0.304 0.123 0.465
0.196 0.623 0.035
0.196 0.123 0.965
0.304 0.623 0.535
0.696 0.877 0.535
0.804 0.377 0.965
0.808 0.614 0.330
0.692 0.114 0.170
0.308 0.386 0.170
0.192 0.886 0.330
0.192 0.386 0.670
0.308 0.886 0.830
0.692 0.614 0.830
0.808 0.114 0.670
0.117 0.645 0.893
0.383 0.145 0.607
0.617 0.355 0.607
0.883 0.855 0.893
0.883 0.355 0.107
0.617 0.855 0.393
0.383 0.645 0.393
0.117 0.145 0.107
0.875 0.438 0.223
0.625 0.938 0.277
0.375 0.562 0.277
0.125 0.062 0.223
0.125 0.562 0.777
0.375 0.062 0.723
0.625 0.438 0.723
0.875 0.938 0.777
0.500 0.750 0.093
0.000 0.250 0.407
0.500 0.250 0.907
0.000 0.750 0.593
0.425 0.943 0.107
0.075 0.443 0.393
0.925 0.057 0.393
0.575 0.557 0.107
0.575 0.057 0.893
0.925 0.557 0.607
0.075 0.943 0.607
0.425 0.443 0.893
0.500 0.750 0.288
0.000 0.250 0.212
0.500 0.250 0.712
0.000 0.750 0.788
```

total magnetic moment	0.20	μB/atom
theoretical density	2.88	g/cm3
raw total energy	-166.77	eV per formula unit
SG	Pbcn, No. 60

---

4.
Compound: Cs2LiTm2W4O16
Source: the Materials Project database
Functional: PBE+U
Structure: relaxed

```
Cs2LiTm2W4O16
1.0
4.065 5.338 -3.406
4.324 -5.572 -3.463
0.016 -0.040 -7.506
Cs Li Tm W O
2 1 2 4 16
Direct
0.785 0.229 0.729
0.214 0.809 0.245
0.937 0.932 0.895
0.267 0.786 0.733
0.757 0.198 0.252
0.295 0.310 0.710
0.705 0.672 0.309
0.694 0.703 0.800
0.310 0.302 0.209
0.372 0.253 0.934
0.633 0.755 0.051
0.759 0.629 0.570
0.243 0.375 0.435
0.611 0.922 0.638
0.385 0.077 0.362
0.043 0.341 0.883
0.960 0.660 0.107
0.400 0.615 0.549
0.588 0.361 0.465
0.370 0.582 0.968
0.633 0.417 0.032
0.217 0.048 0.790
0.771 0.953 0.194
0.971 0.794 0.699
0.039 0.218 0.298
```

total magnetic moment	0.04	μB/atom
energy above the most stable polymorph in this dataset	0.016	eV/atom
theoretical density	7.76	g/cm3
SG	P1, No. 1

---

5.
Compound: Cs2LiTm2W4O16
Source: the Materials Project database
Functional: PBE+U
Structure: relaxed

```
Cs2LiTm2W4O16
1.0
4.120 5.160 -3.440
4.505 -5.550 -3.547
0.104 -0.082 -7.531
Cs Li Tm W O
2 1 2 4 16
Direct
0.766 0.153 0.792
0.221 0.843 0.231
0.004 0.477 0.360
0.252 0.800 0.741
0.756 0.202 0.265
0.287 0.319 0.700
0.695 0.682 0.294
0.699 0.683 0.790
0.315 0.303 0.199
0.370 0.267 0.927
0.626 0.735 0.067
0.772 0.611 0.559
0.226 0.387 0.446
0.635 0.916 0.629
0.379 0.076 0.372
0.026 0.325 0.895
0.968 0.671 0.115
0.396 0.622 0.551
0.606 0.385 0.448
0.376 0.593 0.961
0.642 0.411 0.031
0.253 0.062 0.776
0.746 0.934 0.228
0.969 0.764 0.708
0.022 0.261 0.297
```

total magnetic moment	0.04	μB/atom
energy above the most stable polymorph in this dataset	0.000	eV/atom
theoretical density	7.75	g/cm3
SG	P1, No. 1

---

6.
Compound: Cs2LiVO4
Source: the Materials Project database
Functional: PBE+U
Structure: relaxed

```
Cs2LiVO4
1.0
3.066 -6.267 0.000
3.066 6.267 0.000
0.000 0.000 8.334
Cs Li V O
4 2 2 8
Direct
0.393 0.607 0.542
0.607 0.393 0.042
0.072 0.928 0.412
0.928 0.072 0.912
0.204 0.796 0.823
0.796 0.204 0.323
0.700 0.300 0.605
0.300 0.700 0.105
0.101 0.429 0.210
0.899 0.571 0.710
0.360 0.640 0.916
0.640 0.360 0.416
0.571 0.899 0.210
0.429 0.101 0.710
0.837 0.163 0.561
0.163 0.837 0.061
```

total magnetic moment	0.00	μB/atom
theoretical density	4.02	g/cm3
raw total energy	-47.08	eV per formula unit
SG	Cmc2_1, No. 36
piezoelectric modulus e_max	0.3	C/m²